1.
The following is a GGA-PBE calculation of an optimized crystal structure of Bi3IO4, from the Materials Project.

```
Bi3IO4
1.0
-5.103 0.323 -2.867
-1.991 -4.666 3.019
-7.167 12.199 14.129
Bi I O
12 4 16
Direct
0.202 0.202 0.864
0.202 0.298 0.636
0.250 0.698 0.000
0.250 0.802 0.500
0.298 0.298 0.364
0.298 0.202 0.136
0.702 0.702 0.636
0.702 0.798 0.864
0.750 0.302 0.000
0.750 0.198 0.500
0.798 0.798 0.136
0.798 0.702 0.364
0.224 0.750 0.750
0.276 0.750 0.250
0.724 0.250 0.750
0.776 0.250 0.250
0.014 0.457 0.414
0.014 0.043 0.086
0.074 0.431 0.939
0.074 0.069 0.561
0.426 0.069 0.439
0.426 0.431 0.061
0.486 0.457 0.586
0.486 0.043 0.914
0.514 0.957 0.086
0.514 0.543 0.414
0.574 0.569 0.939
0.574 0.931 0.561
0.926 0.569 0.061
0.926 0.931 0.439
0.986 0.957 0.914
0.986 0.543 0.586
```

Summary:
E_form   -1486 meV per atom
Calculated total energy   -5.2654 eV/atom

---

2.
The following is a GGA-PBE calculation of an optimized crystal structure of Zr2Cd, from the Materials Project.

```
Zr2Cd
1.0
-6.279 -0.538 3.614
-7.159 1.179 -0.365
6.425 -2.356 -2.438
Zr Cd
2 1
Direct
0.668 0.668 0.000
0.332 0.332 0.000
0.000 0.000 0.000
```

Summary:
E_form   -118 meV per atom
Calculated total energy   -6.1238 eV/atom

---

3.
The following is a GGA-PBE calculation of an optimized crystal structure of NaOsN2, from the Materials Project.

```
NaOsN2
1.0
5.768 0.000 0.000
0.000 11.433 0.000
0.000 0.000 14.868
Na Os N
16 16 32
Direct
0.221 0.968 0.442
0.721 0.532 0.558
0.779 0.468 0.058
0.279 0.032 0.942
0.779 0.032 0.558
0.279 0.468 0.442
0.221 0.532 0.942
0.721 0.968 0.058
0.277 0.257 0.312
0.777 0.243 0.688
0.723 0.757 0.188
0.223 0.743 0.812
0.723 0.743 0.688
0.223 0.757 0.312
0.277 0.243 0.812
0.777 0.257 0.188
0.681 0.021 0.312
0.181 0.479 0.688
0.319 0.521 0.188
0.819 0.979 0.812
0.319 0.979 0.688
0.819 0.521 0.312
0.681 0.479 0.812
0.181 0.021 0.188
0.771 0.279 0.436
0.271 0.221 0.564
0.229 0.779 0.064
0.729 0.721 0.936
0.229 0.721 0.564
0.729 0.779 0.436
0.771 0.221 0.936
0.271 0.279 0.064
0.089 0.263 0.464
0.589 0.237 0.536
0.911 0.763 0.036
0.411 0.737 0.964
0.911 0.737 0.536
0.411 0.763 0.464
0.089 0.237 0.964
0.589 0.263 0.036
0.706 0.439 0.413
0.206 0.061 0.587
0.294 0.939 0.087
0.794 0.561 0.913
0.294 0.561 0.587
0.794 0.939 0.413
0.706 0.061 0.913
0.206 0.439 0.087
0.683 0.183 0.337
0.183 0.317 0.663
0.317 0.683 0.163
0.817 0.817 0.837
0.317 0.817 0.663
0.817 0.683 0.337
0.683 0.317 0.837
0.183 0.183 0.163
0.632 0.479 0.212
0.132 0.021 0.788
0.368 0.979 0.288
0.868 0.521 0.712
0.368 0.521 0.788
0.868 0.979 0.212
0.632 0.021 0.712
0.132 0.479 0.288
```

Summary:
E_form   -17 meV per atom
Calculated total energy   -7.1418 eV/atom

---

4.
The following is a GGA-PBE calculation of an optimized crystal structure of Y2Si5Rh3, from the Materials Project.

```
Y2Si5Rh3
1.0
5.907 5.564 0.000
-5.907 5.564 0.000
0.000 2.702 5.030
Y Si Rh
4 10 6
Direct
0.867 0.599 0.760
0.133 0.401 0.240
0.401 0.133 0.740
0.599 0.867 0.260
0.776 0.224 0.750
0.224 0.776 0.250
0.512 0.488 0.750
0.488 0.512 0.250
0.210 0.790 0.750
0.790 0.210 0.250
0.266 0.058 0.339
0.734 0.942 0.661
0.942 0.734 0.161
0.058 0.266 0.839
0.540 0.260 0.126
0.740 0.460 0.374
0.460 0.740 0.874
0.260 0.540 0.626
0.998 0.002 0.250
0.002 0.998 0.750
```

Summary:
E_form   -974 meV per atom
Calculated total energy   -7.1897 eV/atom

---

5.
The following is a GGA-PBE calculation of an optimized crystal structure of YAgTe2, from the Materials Project.

```
YAgTe2
1.0
-0.690 4.158 -1.651
-0.619 -3.619 -2.648
-7.002 -0.332 2.090
Y Ag Te
1 1 2
Direct
0.667 0.333 0.986
0.000 0.000 0.382
0.000 0.000 0.765
0.333 0.667 0.232
```

Summary:
E_form   -1121 meV per atom
Calculated total energy   -4.8061 eV/atom

---

6.
The following is a GGA-PBE calculation of an optimized crystal structure of As2S3N2F12, from the Materials Project.

```
As2S3N2F12
1.0
1.550 -7.542 0.023
6.172 -1.675 4.288
-6.136 -1.603 8.854
As S N F
4 6 4 24
Direct
0.288 0.983 0.251
0.017 0.712 0.749
0.668 0.332 0.500
0.675 0.325 0.000
0.180 0.531 0.256
0.469 0.820 0.744
0.840 0.749 0.152
0.251 0.160 0.848
0.827 0.745 0.350
0.255 0.173 0.650
0.050 0.618 0.140
0.382 0.950 0.860
0.035 0.613 0.368
0.387 0.965 0.632
0.225 0.164 0.137
0.836 0.775 0.863
0.359 0.805 0.367
0.195 0.641 0.633
0.060 0.979 0.257
0.021 0.940 0.743
0.226 0.158 0.365
0.842 0.774 0.635
0.525 0.981 0.247
0.019 0.475 0.753
0.357 0.813 0.136
0.187 0.643 0.864
0.441 0.396 0.438
0.604 0.559 0.562
0.733 0.106 0.438
0.894 0.267 0.562
0.746 0.415 0.363
0.585 0.254 0.637
0.469 0.408 0.093
0.592 0.531 0.907
0.785 0.434 0.095
0.566 0.215 0.905
0.761 0.118 0.093
0.882 0.239 0.907
```

Summary:
E_form   -1736 meV per atom
Calculated total energy   -4.6747 eV/atom

---

7.
The following is a GGA-PBE calculation of an optimized crystal structure of Ga9Ir2, from the Materials Project.

```
Ga9Ir2
1.0
-1.410 4.850 -4.016
-5.940 -2.502 -0.937
-3.551 4.584 6.783
Ga Ir
18 4
Direct
0.741 0.030 0.472
0.259 0.030 0.972
0.659 0.215 0.962
0.341 0.215 0.462
0.761 0.600 0.773
0.239 0.600 0.273
0.738 0.398 0.234
0.262 0.398 0.734
0.554 0.612 0.500
0.446 0.612 0.000
0.949 0.400 0.508
0.051 0.400 0.008
0.475 0.892 0.719
0.525 0.892 0.219
0.043 0.093 0.268
0.957 0.093 0.768
0.139 0.801 0.544
0.861 0.801 0.044
0.622 0.259 0.669
0.378 0.259 0.169
0.876 0.738 0.333
0.124 0.738 0.833
```

Summary:
E_form   -311 meV per atom
Calculated total energy   -4.3955 eV/atom

---

8.
The following is a GGA-PBE calculation of an optimized crystal structure of AlBi12O20, from the Materials Project.

```
AlBi12O20
1.0
-5.097 5.097 5.097
5.097 -5.097 5.097
5.097 5.097 -5.097
Al Bi O
1 12 20
Direct
0.000 0.000 0.000
0.813 0.673 0.508
0.187 0.695 0.860
0.835 0.327 0.140
0.673 0.508 0.813
0.165 0.305 0.492
0.695 0.860 0.187
0.327 0.140 0.835
0.305 0.492 0.165
0.508 0.813 0.673
0.140 0.835 0.327
0.492 0.165 0.305
0.860 0.187 0.695
0.204 0.204 0.204
0.796 0.000 0.000
0.000 0.796 0.000
0.000 0.000 0.796
0.645 0.769 0.387
0.355 0.742 0.124
0.618 0.231 0.876
0.769 0.387 0.645
0.382 0.258 0.613
0.742 0.124 0.355
0.231 0.876 0.618
0.258 0.613 0.382
0.387 0.645 0.769
0.876 0.618 0.231
0.613 0.382 0.258
0.124 0.355 0.742
0.612 0.612 0.612
0.388 0.000 0.000
0.000 0.388 0.000
0.000 0.000 0.388
```

Summary:
E_form   -1728 meV per atom
Calculated total energy   -5.8389 eV/atom

---

9.
The following is a GGA-PBE calculation of an optimized crystal structure of NiSb, from the Materials Project.

```
NiSb
1.0
1.982 -3.432 0.000
1.982 3.432 0.000
0.000 0.000 5.144
Ni Sb
2 2
Direct
0.000 0.000 0.000
0.000 0.000 0.500
0.333 0.667 0.250
0.667 0.333 0.750
```

Summary:
E_form   -367 meV per atom
Calculated total energy   -5.2253 eV/atom

---

10.
The following is a GGA-PBE calculation of an optimized crystal structure of CdFeCu4Sn2Se8, from the Materials Project.

```
CdFeCu4Sn2Se8
1.0
5.838 0.000 0.000
0.000 5.838 0.000
0.000 0.000 11.503
Cd Fe Cu Sn Se
1 1 4 2 8
Direct
0.000 0.000 0.000
0.500 0.500 0.500
0.500 0.000 0.254
0.000 0.500 0.746
0.000 0.500 0.254
0.500 0.000 0.746
0.500 0.500 0.000
0.000 0.000 0.500
0.747 0.747 0.143
0.266 0.266 0.631
0.253 0.253 0.143
0.734 0.734 0.631
0.734 0.266 0.369
0.253 0.747 0.857
0.266 0.734 0.369
0.747 0.253 0.857
```

Summary:
E_form   -539 meV per atom
Calculated total energy   -4.1642 eV/atom

---

11.
The following is a GGA-PBE calculation of an optimized crystal structure of BaNiSn3, from the Materials Project.

```
BaNiSn3
1.0
-1.376 -6.344 0.564
1.097 -2.670 5.841
-3.074 5.290 -2.242
Ba Ni Sn
1 1 3
Direct
0.001 0.001 0.000
0.660 0.660 0.000
0.250 0.750 0.500
0.428 0.428 0.000
0.750 0.250 0.500
```

Summary:
E_form   -475 meV per atom
Calculated total energy   -4.4209 eV/atom

---

12.
The following is a GGA-PBE calculation of an optimized crystal structure of Mg6MnCd, from the Materials Project.

```
Mg6MnCd
1.0
-4.442 -1.921 -1.126
2.656 -5.592 -0.937
-1.569 -2.493 10.437
Mg Mn Cd
12 2 2
Direct
0.500 0.249 0.417
0.500 0.751 0.417
0.000 0.756 0.085
0.000 0.244 0.085
0.000 0.000 0.329
0.000 0.500 0.333
0.500 0.749 0.917
0.500 0.251 0.917
0.000 0.256 0.585
0.000 0.744 0.585
0.000 0.500 0.829
0.000 0.000 0.833
0.500 0.000 0.168
0.500 0.500 0.668
0.500 0.500 0.166
0.500 0.000 0.666
```

Summary:
E_form   69 meV per atom
Calculated total energy   -2.3916 eV/atom

---

Question: The highest calculated total energy belongs to which entry?
Answer: Mg6MnCd